First-principles (GGA-PBE) data for crystalline NaCaSnSbO6 at its relaxed geometry, as listed in the Materials Project.

Summary:
The symmetry is F-43m. As for the total energy: -5.91 eV/atom. The calculation puts the energy of formation at -22.08 eV/f.u.

```
NaCaSnSbO6
1.0
0.0000 4.0136 4.0136
4.0136 0.0000 4.0136
4.0136 4.0136 0.0000
Na Ca Sn Sb O
1 1 1 1 6
direct
0.0000 0.0000 0.0000 Na
0.5000 0.5000 0.5000 Ca
0.7500 0.7500 0.7500 Sn
0.2500 0.2500 0.2500 Sb
0.0041 0.0041 0.4959 O
0.0041 0.4959 0.0041 O
0.0041 0.4959 0.4959 O
0.4959 0.0041 0.0041 O
0.4959 0.0041 0.4959 O
0.4959 0.4959 0.0041 O
```